No. 1
## Ti3N2O3 (r2SCAN)

Data for a relaxed structure of Ti3N2O3.

Cell lengths 3.833, 5.217, 9.844 Å; angles 90.46, 90.00, 111.55 degrees
Element x y z (fractional)
O1 0.043 0.085 0.378
O2 0.954 0.909 0.881
O3 0.685 0.369 0.570
O4 0.047 0.095 0.118
O5 0.952 0.905 0.615
O6 0.754 0.507 0.251
Ti1 0.800 0.601 0.757
Ti2 0.200 0.400 0.249
Ti3 0.146 0.292 0.565
Ti4 0.865 0.730 0.440
Ti5 0.859 0.718 0.057
Ti6 0.147 0.294 0.940
N1 0.311 0.622 0.079
N2 0.694 0.387 0.927
N3 0.306 0.611 0.428
N4 0.238 0.475 0.745

Energy above the lowest structure with this stoichiometry, meV per atom: 0



No. 2
## Gd2TlHg (r2SCAN)

Data for a relaxed structure of Gd2TlHg.

Cell lengths 5.336, 5.336, 5.336 Å; angles 60.00, 60.00, 60.00 degrees
Element x y z (fractional)
Gd1 0.250 0.250 0.250
Gd2 0.750 0.750 0.750
Tl1 0.000 0.000 0.000
Hg1 0.500 0.500 0.500



No. 3
## Ta3Te4ClO15 (r2SCAN)

Data for a relaxed structure of Ta3Te4ClO15.

Cell lengths 10.288, 10.288, 21.267 Å; angles 65.47, 65.47, 44.27 degrees
Element x y z (fractional)
Te1 0.735 0.604 0.125
Te2 0.232 0.119 0.145
Te3 0.604 0.735 0.625
Te4 0.881 0.768 0.355
Te5 0.396 0.265 0.375
Te6 0.995 0.870 0.137
Te7 0.130 0.005 0.363
Te8 0.486 0.607 0.870
Te9 0.393 0.514 0.630
Te10 0.768 0.881 0.855
Te11 0.514 0.393 0.130
Te12 0.870 0.995 0.637
Te13 0.265 0.396 0.875
Te14 0.005 0.130 0.863
Te15 0.119 0.232 0.645
Te16 0.607 0.486 0.370
O1 0.191 0.363 0.572
O2 0.572 0.707 0.319
O3 0.475 0.741 0.535
O4 0.527 0.801 0.078
O5 0.524 0.335 0.054
O6 0.619 0.919 0.753
O7 0.918 0.098 0.076
O8 0.224 0.345 0.327
O9 0.764 0.946 0.407
O10 0.363 0.191 0.072
O11 0.992 0.257 0.503
O12 0.008 0.743 0.497
O13 0.257 0.992 0.003
O14 0.040 0.759 0.071
O15 0.345 0.224 0.827
O16 0.737 0.980 0.172
O17 0.903 0.629 0.052
O18 0.660 0.923 0.317
O19 0.759 0.040 0.571
O20 0.347 0.630 0.410
O21 0.809 0.637 0.428
O22 0.946 0.764 0.907
O23 0.476 0.665 0.946
O24 0.381 0.081 0.247
O25 0.082 0.902 0.924
O26 0.199 0.473 0.422
O27 0.259 0.525 0.965
O28 0.293 0.428 0.181
O29 0.919 0.619 0.253
O30 0.665 0.476 0.446
O31 0.629 0.903 0.552
O32 0.630 0.347 0.910
O33 0.054 0.236 0.093
O34 0.370 0.653 0.090
O35 0.081 0.381 0.747
O36 0.020 0.263 0.328
O37 0.637 0.809 0.928
O38 0.097 0.371 0.948
O39 0.077 0.340 0.183
O40 0.473 0.199 0.922
O41 0.707 0.572 0.819
O42 0.801 0.527 0.578
O43 0.743 0.008 0.997
O44 0.923 0.660 0.817
O45 0.960 0.241 0.929
O46 0.236 0.054 0.593
O47 0.098 0.918 0.576
O48 0.428 0.293 0.681
O49 0.340 0.077 0.683
O50 0.525 0.259 0.465
O51 0.335 0.524 0.554
O52 0.776 0.655 0.673
O53 0.653 0.370 0.590
O54 0.241 0.960 0.429
O55 0.263 0.020 0.828
O56 0.902 0.082 0.424
O57 0.980 0.737 0.672
O58 0.655 0.776 0.173
O59 0.371 0.097 0.448
O60 0.741 0.475 0.035
Ta1 0.250 0.508 0.495
Ta2 0.750 0.492 0.505
Ta3 0.002 0.753 0.990
Ta4 0.637 0.858 0.247
Ta5 0.142 0.363 0.253
Ta6 0.492 0.750 0.005
Ta7 0.858 0.637 0.747
Ta8 0.998 0.247 0.010
Ta9 0.753 0.002 0.490
Ta10 0.508 0.250 0.995
Ta11 0.247 0.998 0.509
Ta12 0.363 0.142 0.753
Cl1 0.046 0.954 0.750
Cl2 0.551 0.449 0.750
Cl3 0.954 0.046 0.250
Cl4 0.449 0.551 0.250



No. 4
## LiTbS2 (r2SCAN)

Data for a relaxed structure of LiTbS2.

Cell lengths 6.544, 6.544, 6.544 Å; angles 34.86, 34.86, 34.86 degrees
Element x y z (fractional)
Li1 0.000 0.000 0.000
S1 0.251 0.251 0.251
S2 0.749 0.749 0.749
Tb1 0.500 0.500 0.500



Number 1: formation energy -20.82 eV/f.u., volume 11.4 A^3/atom, total magnetic moment 0.0 μB per formula unit. Number 2: formation energy -2.07 eV/f.u., volume 26.9 A^3/atom, total magnetic moment 15.1 μB per formula unit. Number 3: formation energy -46.51 eV/f.u., volume 15.3 A^3/atom, total magnetic moment 0.0 μB per formula unit. Number 4: formation energy -8.45 eV/f.u., volume 20.4 A^3/atom, total magnetic moment 0.0 μB per formula unit.